No. 1
An optimized crystal structure of RbFeO2. Source: the Materials Project, functional PBE with a Hubbard U.

Cell: 5.8277 11.7261 16.6836 Å, 90.00 90.00 90.00°
Space group Pbca (No. 61)
Asymmetric unit:
1 Rb 0.1997 0.2394 0.1854 (multiplicity 8)
2 Rb 0.2482 0.0108 0.5620 (multiplicity 8)
3 Fe 0.2147 0.2390 0.4364 (multiplicity 8)
4 Fe 0.2454 0.0056 0.8113 (multiplicity 8)
5 O 0.0576 0.5205 0.2190 (multiplicity 8)
6 O 0.0822 0.7105 0.0189 (multiplicity 8)
7 O 0.1679 0.5976 0.3959 (multiplicity 8)
8 O 0.1935 0.1576 0.8484 (multiplicity 8)

Output
- Formation enthalpy at 0 K: -7.0 eV/f.u.
- Crystal system: orthorhombic
- Uncorrected energy: -5.671 eV per atom

No. 2
An optimized crystal structure of V3O2F6. Source: the Materials Project, functional PBE with a Hubbard U.

Cell: 4.7493 5.5390 10.4295 Å, 83.70 89.71 89.94°
Space group P-1 (No. 2)
Asymmetric unit:
1 V 0.0000 0.0000 0.0000 (multiplicity 1)
2 V 0.0147 0.7591 0.7432 (multiplicity 2)
3 V 0.4782 0.7758 0.2461 (multiplicity 2)
4 V 0.5000 0.0000 0.5000 (multiplicity 1)
5 O 0.2063 0.9685 0.1765 (multiplicity 2)
6 O 0.3115 0.9836 0.6757 (multiplicity 2)
7 F 0.1694 0.7286 0.9227 (multiplicity 2)
8 F 0.1909 0.2045 0.4230 (multiplicity 2)
9 F 0.2392 0.4731 0.6960 (multiplicity 2)
10 F 0.2787 0.4809 0.1925 (multiplicity 2)
11 F 0.3046 0.2011 0.9181 (multiplicity 2)
12 F 0.3198 0.7222 0.4179 (multiplicity 2)

Output
- Formation enthalpy at 0 K: -32.8 eV/f.u.
- Crystal system: triclinic
- Uncorrected energy: -6.558 eV per atom

No. 3
An optimized crystal structure of Ba2YCr2F11. Source: the Materials Project, functional PBE with a Hubbard U.

Cell: 7.9099 7.9099 14.1402 Å, 90.00 90.00 120.00°
Space group P3_2 (No. 145)
Asymmetric unit:
1 Ba 0.1342 0.0245 0.0000 (multiplicity 3)
2 Ba 0.5154 0.1811 0.4771 (multiplicity 3)
3 Y 0.1859 0.5163 0.8829 (multiplicity 3)
4 Cr 0.1037 0.4158 0.3902 (multiplicity 3)
5 Cr 0.3389 0.3113 0.2224 (multiplicity 3)
6 F 0.0234 0.7683 0.6916 (multiplicity 3)
7 F 0.0301 0.3353 0.0005 (multiplicity 3)
8 F 0.0310 0.7435 0.1840 (multiplicity 3)
9 F 0.0598 0.9348 0.5126 (multiplicity 3)
10 F 0.1198 0.7500 0.8842 (multiplicity 3)
11 F 0.1686 0.4981 0.2324 (multiplicity 3)
12 F 0.2787 0.6203 0.7316 (multiplicity 3)
13 F 0.3686 0.1637 0.6862 (multiplicity 3)
14 F 0.4116 0.4044 0.0856 (multiplicity 3)
15 F 0.4288 0.0903 0.1413 (multiplicity 3)
16 F 0.5384 0.1595 0.9264 (multiplicity 3)

Output
- Formation enthalpy at 0 K: -58.9 eV/f.u.
- Crystal system: trigonal
- Uncorrected energy: -6.280 eV per atom

No. 4
An optimized crystal structure of Li2Mo4O13. Source: the Materials Project, functional PBE with a Hubbard U.

Cell: 8.3982 21.9126 8.7538 Å, 90.00 95.93 90.00°
Space group P2_1 (No. 4)
Asymmetric unit:
1 Li 0.0421 0.0000 0.1196 (multiplicity 2)
2 Li 0.1210 0.6275 0.7288 (multiplicity 2)
3 Li 0.2183 0.3184 0.5963 (multiplicity 2)
4 Li 0.2847 0.1292 0.2268 (multiplicity 2)
5 Li 0.3749 0.8156 0.4389 (multiplicity 2)
6 Li 0.4484 0.9997 0.0720 (multiplicity 2)
7 Mo 0.0450 0.6312 0.0838 (multiplicity 2)
8 Mo 0.0545 0.8328 0.1027 (multiplicity 2)
9 Mo 0.1021 0.7967 0.7390 (multiplicity 2)
10 Mo 0.1131 0.9975 0.7587 (multiplicity 2)
11 Mo 0.2120 0.1334 0.5850 (multiplicity 2)
12 Mo 0.2371 0.4960 0.5932 (multiplicity 2)
13 Mo 0.2771 0.4975 0.2242 (multiplicity 2)
14 Mo 0.2907 0.2978 0.2418 (multiplicity 2)
15 Mo 0.3694 0.9975 0.4265 (multiplicity 2)
16 Mo 0.3974 0.6337 0.4333 (multiplicity 2)
17 Mo 0.4363 0.6343 0.0640 (multiplicity 2)
18 Mo 0.4482 0.8296 0.0844 (multiplicity 2)
19 O 0.0449 0.7091 0.1078 (multiplicity 2)
20 O 0.0503 0.9123 0.0973 (multiplicity 2)
21 O 0.0648 0.3144 0.7532 (multiplicity 2)
22 O 0.0688 0.5201 0.1097 (multiplicity 2)
23 O 0.0744 0.3110 0.0854 (multiplicity 2)
24 O 0.0748 0.1220 0.4243 (multiplicity 2)
25 O 0.0878 0.1061 0.7491 (multiplicity 2)
26 O 0.0935 0.1158 0.0747 (multiplicity 2)
27 O 0.0970 0.9195 0.7378 (multiplicity 2)
28 O 0.1088 0.7173 0.7416 (multiplicity 2)
29 O 0.1096 0.3128 0.3679 (multiplicity 2)
30 O 0.1136 0.5091 0.3934 (multiplicity 2)
31 O 0.1151 0.5204 0.7322 (multiplicity 2)
32 O 0.2180 0.2114 0.6040 (multiplicity 2)
33 O 0.2196 0.8164 0.5942 (multiplicity 2)
34 O 0.2234 0.6212 0.9576 (multiplicity 2)
35 O 0.2286 0.4173 0.5969 (multiplicity 2)
36 O 0.2313 0.8176 0.9268 (multiplicity 2)
37 O 0.2336 0.0176 0.2690 (multiplicity 2)
38 O 0.2396 0.0228 0.5956 (multiplicity 2)
39 O 0.2507 0.0064 0.9202 (multiplicity 2)
40 O 0.2616 0.6140 0.2451 (multiplicity 2)
41 O 0.2638 0.8159 0.2103 (multiplicity 2)
42 O 0.2744 0.6048 0.5712 (multiplicity 2)
43 O 0.2790 0.4192 0.2074 (multiplicity 2)
44 O 0.2948 0.2186 0.2431 (multiplicity 2)
45 O 0.3569 0.9197 0.4419 (multiplicity 2)
46 O 0.3876 0.7116 0.4469 (multiplicity 2)
47 O 0.3940 0.1120 0.4545 (multiplicity 2)
48 O 0.4025 0.5253 0.0866 (multiplicity 2)
49 O 0.4152 0.5135 0.4125 (multiplicity 2)
50 O 0.4175 0.3136 0.0758 (multiplicity 2)
51 O 0.4217 0.3130 0.7515 (multiplicity 2)
52 O 0.4256 0.3186 0.3991 (multiplicity 2)
53 O 0.4356 0.7137 0.0591 (multiplicity 2)
54 O 0.4379 0.1230 0.7378 (multiplicity 2)
55 O 0.4408 0.1111 0.0748 (multiplicity 2)
56 O 0.4491 0.9088 0.0776 (multiplicity 2)
57 O 0.4515 0.5067 0.6996 (multiplicity 2)

Output
- Formation enthalpy at 0 K: -38.8 eV/f.u.
- Crystal system: monoclinic
- Uncorrected energy: -6.767 eV per atom

No. 5
An optimized crystal structure of CrO. Source: the Materials Project, functional PBE with a Hubbard U.

Cell: 3.0303 16.6140 3.1473 Å, 90.00 111.60 90.00°
Space group Pm (No. 6)
Asymmetric unit:
1 Cr 0.0000 0.0000 0.0000 (multiplicity 1)
2 Cr 0.0978 0.5000 0.3437 (multiplicity 1)
3 Cr 0.5041 0.1655 0.5570 (multiplicity 2)
4 Cr 0.6010 0.3340 0.8134 (multiplicity 2)
5 O 0.0627 0.2491 0.7106 (multiplicity 2)
6 O 0.1140 0.4174 0.8527 (multiplicity 2)
7 O 0.9829 0.0825 0.4929 (multiplicity 2)

Output
- Formation enthalpy at 0 K: -3.6 eV/f.u.
- Crystal system: monoclinic
- Uncorrected energy: -7.771 eV per atom

No. 6
An optimized crystal structure of Na5LaMo4O16. Source: the Materials Project, functional PBE with a Hubbard U.

Cell: 11.7677 11.7677 11.7142 Å, 90.00 90.00 90.00°
Space group I4_1/a (No. 88, origin choice 2)
Asymmetric unit:
1 Na 0.0000 0.2500 0.1250 (multiplicity 4)
2 Na 0.1235 0.4544 0.8397 (multiplicity 16)
3 La 0.0000 0.2500 0.6250 (multiplicity 4)
4 Mo 0.0970 0.4289 0.3559 (multiplicity 16)
5 O 0.0264 0.1013 0.2708 (multiplicity 16)
6 O 0.0603 0.1367 0.7967 (multiplicity 16)
7 O 0.0873 0.0638 0.5672 (multiplicity 16)
8 O 0.1770 0.0325 0.9854 (multiplicity 16)

Output
- Formation enthalpy at 0 K: -60.8 eV/f.u.
- Crystal system: tetragonal
- Uncorrected energy: -6.582 eV per atom

No. 7
An optimized crystal structure of MgFe8O8F8. Source: the Materials Project, functional PBE with a Hubbard U.

Cell: 3.1009 9.6056 9.9208 Å, 89.79 89.85 89.88°
Space group P1 (No. 1)
Asymmetric unit:
1 Mg 0.0000 0.0000 0.0000 (multiplicity 1)
2 Fe 0.0088 0.2592 0.5005 (multiplicity 1)
3 Fe 0.0102 0.7667 0.5058 (multiplicity 1)
4 Fe 0.0229 0.6734 0.9930 (multiplicity 1)
5 Fe 0.0338 0.2904 0.0075 (multiplicity 1)
6 Fe 0.5037 0.0543 0.7364 (multiplicity 1)
7 Fe 0.5073 0.0547 0.2625 (multiplicity 1)
8 Fe 0.5186 0.5173 0.2419 (multiplicity 1)
9 Fe 0.5243 0.5013 0.7667 (multiplicity 1)
10 O 0.0047 0.1378 0.6540 (multiplicity 1)
11 O 0.0084 0.1249 0.1606 (multiplicity 1)
12 O 0.0186 0.6170 0.1783 (multiplicity 1)
13 O 0.0240 0.4008 0.8423 (multiplicity 1)
14 O 0.4977 0.1333 0.9213 (multiplicity 1)
15 O 0.5094 0.1771 0.4125 (multiplicity 1)
16 O 0.5236 0.6600 0.8806 (multiplicity 1)
17 O 0.5279 0.3746 0.0977 (multiplicity 1)
18 F 0.0032 0.9245 0.8180 (multiplicity 1)
19 F 0.0066 0.9283 0.3437 (multiplicity 1)
20 F 0.0148 0.4187 0.3571 (multiplicity 1)
21 F 0.0191 0.5994 0.6509 (multiplicity 1)
22 F 0.5030 0.8989 0.0885 (multiplicity 1)
23 F 0.5069 0.8836 0.5945 (multiplicity 1)
24 F 0.5129 0.3754 0.5896 (multiplicity 1)
25 F 0.5132 0.6599 0.4115 (multiplicity 1)

Output
- Formation enthalpy at 0 K: -53.0 eV/f.u.
- Crystal system: triclinic
- Uncorrected energy: -6.000 eV per atom

No. 8
An optimized crystal structure of Mn3O2F4. Source: the Materials Project, functional PBE with a Hubbard U.

Cell: 9.1104 7.2096 7.1432 Å, 90.00 110.01 90.00°
Space group C2/m (No. 12)
Asymmetric unit:
1 Mn 0.0000 0.0000 0.0000 (multiplicity 2)
2 Mn 0.0000 0.0000 0.5000 (multiplicity 2)
3 Mn 0.1506 0.5000 0.1705 (multiplicity 4)
4 Mn 0.1672 0.5000 0.6639 (multiplicity 4)
5 O 0.0707 0.5000 0.8727 (multiplicity 4)
6 O 0.2411 0.0000 0.5393 (multiplicity 4)
7 F 0.0000 0.3074 0.5000 (multiplicity 4)
8 F 0.1212 0.0000 0.8052 (multiplicity 4)
9 F 0.1692 0.1910 0.1731 (multiplicity 8)

Output
- Formation enthalpy at 0 K: -22.7 eV/f.u.
- Crystal system: monoclinic
- Uncorrected energy: -6.617 eV per atom

No. 9
An optimized crystal structure of Co3SbO8. Source: the Materials Project, functional PBE with a Hubbard U.

Cell: 5.8501 5.8501 14.3284 Å, 90.00 90.00 120.00°
Space group R-3m (No. 166, hexagonal axes)
Asymmetric unit:
1 Co 0.0000 0.5000 0.0000 (multiplicity 9)
2 Sb 0.0000 0.0000 0.0000 (multiplicity 3)
3 O 0.0000 0.0000 0.2717 (multiplicity 6)
4 O 0.0158 0.5079 0.2649 (multiplicity 18)

Output
- Formation enthalpy at 0 K: -15.2 eV/f.u.
- Crystal system: trigonal
- Uncorrected energy: -5.821 eV per atom

No. 10
An optimized crystal structure of MgFe2Ni2O6. Source: the Materials Project, functional PBE with a Hubbard U.

Cell: 5.1540 5.1540 14.7928 Å, 90.00 90.00 120.00°
Space group R3 (No. 146, hexagonal axes)
Asymmetric unit:
1 Mg 0.0000 0.0000 0.0000 (multiplicity 3)
2 Fe 0.0000 0.0000 0.5316 (multiplicity 3)
3 Fe 0.0000 0.0000 0.7197 (multiplicity 3)
4 Ni 0.0000 0.0000 0.1887 (multiplicity 3)
5 Ni 0.0000 0.0000 0.3577 (multiplicity 3)
6 O 0.0173 0.3345 0.1078 (multiplicity 9)
7 O 0.0350 0.6853 0.2808 (multiplicity 9)

Output
- Formation enthalpy at 0 K: -18.0 eV/f.u.
- Crystal system: trigonal
- Uncorrected energy: -5.825 eV per atom